Compound: MnP4O12
Source: the Materials Project database
Functional: GGA+U
Structure: relaxed

a b c (Å): 10.3899 10.3899 5.1468
angles (deg): 83.05 83.05 72.39
Positions (direct):
O  0.1529  0.1529  0.5953
P  0.6964  0.9419  0.4719
O  0.5989  0.9101  0.3109
O  0.8471  0.8471  0.4047
O  0.1586  0.5564  0.0122
O  0.4397  0.6668  0.6781
O  0.7692  0.2308  0.0000
O  0.2308  0.7692  0.0000
O  0.4436  0.8414  0.9878
O  0.0899  0.4011  0.6891
P  0.3036  0.0581  0.5281
O  0.0767  0.3329  0.2335
O  0.2841  0.9133  0.6178
O  0.9101  0.5989  0.3109
O  0.0867  0.7159  0.3822
O  0.6671  0.9233  0.7665
O  0.4011  0.0899  0.6891
O  0.5603  0.3332  0.3219
Mn  0.5000  0.0000  0.0000
Mn  0.0000  0.5000  0.0000
O  0.9133  0.2841  0.6178
P  0.0581  0.3036  0.5281
O  0.3332  0.5603  0.3219
P  0.2137  0.6358  0.1818
P  0.7863  0.3642  0.8182
P  0.3642  0.7863  0.8182
O  0.6668  0.4397  0.6781
O  0.5564  0.1586  0.0122
O  0.3329  0.0767  0.2335
O  0.9233  0.6671  0.7665
O  0.7159  0.0867  0.3822
P  0.6358  0.2137  0.1818
O  0.8414  0.4436  0.9878
P  0.9419  0.6964  0.4719

## Properties
ΔH_f (0 K): -2373.1 meV per atom
offset from the most stable computed form: 0.033 eV/atom
space-group type: C2/m, No. 12